(1)
A relaxed structure of NdCrO4, computed with PBE+U.

Properties
Electronic total energy: -0.5623 Ry per atom

Geometry as POSCAR:
```
NdCrO4
1.0
-1.571 -5.051 -3.171
5.066 -0.356 3.500
-4.665 1.064 3.892
Nd Cr O
2 2 8
direct
0.000 0.000 0.000 Nd
0.750 0.250 0.500 Nd
0.250 0.750 0.500 Cr
0.500 0.500 0.000 Cr
0.512 0.331 0.180 O
0.081 0.762 0.680 O
0.081 0.401 0.320 O
0.151 0.331 0.820 O
0.669 0.488 0.820 O
0.238 0.919 0.320 O
0.599 0.919 0.680 O
0.669 0.849 0.180 O
```

(2)
A relaxed structure of NaMgMnO2, computed with PBE+U.

Properties
Offset from the most stable computed form: 3.27 eV/f.u.
Total magnetization: 4.58 Bohr magnetons per cell

Geometry as POSCAR:
```
NaMgMnO2
1.0
-2.198 1.993 -4.369
-1.446 -2.729 2.674
-0.814 5.421 2.882
Na Mg Mn O
1 1 1 2
direct
0.000 0.000 0.500 Na
0.500 0.000 0.500 Mg
0.001 0.000 0.000 Mn
0.215 0.430 0.293 O
0.784 0.570 0.707 O
```

(3)
A relaxed structure of V2FeCu3O6, computed with PBE+U.

Properties
Electronic total energy: -0.4821 Ry per atom
Total magnetization: 9.00 Bohr magnetons per cell

Geometry as POSCAR:
```
V2FeCu3O6
1.0
-3.298 -1.265 4.870
-0.451 -1.346 5.846
-1.851 6.626 5.947
V Fe Cu O
2 1 3 6
direct
0.336 0.336 0.829 V
0.664 0.664 0.171 V
0.000 0.000 0.500 Fe
0.000 0.000 0.000 Cu
0.333 0.333 0.337 Cu
0.667 0.667 0.663 Cu
0.188 0.188 0.304 O
0.526 0.526 0.624 O
0.858 0.858 0.964 O
0.812 0.812 0.696 O
0.142 0.142 0.036 O
0.474 0.474 0.376 O
```

(4)
A relaxed structure of Li9Mn2Co5O16, computed with PBE+U.

Properties
Offset from the most stable computed form: 1.84 eV/f.u.
Total magnetization: 8.00 Bohr magnetons per cell

Geometry as POSCAR:
```
Li9Mn2Co5O16
1.0
2.986 0.000 0.000
1.163 7.705 0.000
0.047 0.152 12.543
Li Mn Co O
9 2 5 16
direct
0.185 0.628 0.064 Li
0.943 0.126 0.312 Li
0.689 0.621 0.570 Li
0.816 0.373 0.934 Li
0.564 0.874 0.191 Li
0.309 0.375 0.440 Li
0.422 0.132 0.804 Li
0.072 0.862 0.687 Li
0.234 0.508 0.745 Li
0.010 0.001 0.001 Mn
0.638 0.740 0.870 Mn
0.739 0.500 0.251 Co
0.503 0.001 0.502 Co
0.364 0.253 0.125 Co
0.120 0.750 0.377 Co
0.872 0.259 0.629 Co
0.638 0.818 0.024 O
0.324 0.320 0.272 O
0.090 0.816 0.525 O
0.203 0.584 0.902 O
0.996 0.073 0.150 O
0.702 0.567 0.399 O
0.854 0.298 0.766 O
0.510 0.069 0.647 O
0.734 0.431 0.101 O
0.540 0.937 0.353 O
0.261 0.420 0.595 O
0.376 0.186 0.974 O
0.157 0.685 0.228 O
0.919 0.184 0.481 O
0.066 0.915 0.853 O
0.649 0.694 0.729 O
```